[1]
This record from the Materials Project database describes a relaxed structure of LaZnB5O10. The functional is PBE.

Results
As for the magnetic moment: 0.0 μB/f.u. The uncorrected energy is -132.11 eV per formula unit. The crystal system is monoclinic.

The structure in CIF format:
```
data_LaZnB5O10
_chemical_formula_sum 'La4 Zn4 B20 O40'
_cell_length_a 8.871
_cell_length_b 7.686
_cell_length_c 12.788
_cell_angle_alpha 90.00
_cell_angle_beta 131.43
_cell_angle_gamma 90.00
_symmetry_space_group_name_H-M 'P 1 21/c 1'
_symmetry_Int_Tables_number 14
loop_
_symmetry_equiv_pos_as_xyz
'x,y,z'
'-x,-y,-z'
'-x,y+1/2,-z+1/2'
'x,-y+1/2,z+1/2'
loop_
_atom_site_label
_atom_site_type_symbol
_atom_site_fract_x
_atom_site_fract_y
_atom_site_fract_z
La1 La 0.053 0.185 0.235
Zn1 Zn 0.490 0.588 0.879
B1 B 0.095 0.673 0.609
B2 B 0.156 0.595 0.006
B3 B 0.269 0.034 0.052
B4 B 0.355 0.583 0.266
B5 B 0.488 0.184 0.915
O1 O 0.030 0.722 0.990
O2 O 0.085 0.108 0.915
O3 O 0.118 0.540 0.890
O4 O 0.214 0.719 0.239
O5 O 0.228 0.523 0.643
O6 O 0.319 0.626 0.510
O7 O 0.320 0.537 0.137
O8 O 0.327 0.081 0.813
O9 O 0.436 0.154 0.431
O10 O 0.441 0.153 0.128
```

=====

[2]
This record from the Materials Project database describes a relaxed structure of LaBPd3. The functional is PBE.

Results
As for the magnetic moment: 0.0 μB/f.u. The uncorrected energy is -29.97 eV per formula unit. The crystal system is cubic.

The structure in CIF format:
```
data_LaBPd3
_chemical_formula_sum 'La1 B1 Pd3'
_cell_length_a 4.417
_cell_length_b 4.417
_cell_length_c 4.417
_cell_angle_alpha 90.00
_cell_angle_beta 90.00
_cell_angle_gamma 90.00
_symmetry_space_group_name_H-M 'P m -3 m'
_symmetry_Int_Tables_number 221
_symmetry_space_group_name_Hall '-P 4 2 3'
loop_
_atom_site_label
_atom_site_type_symbol
_atom_site_fract_x
_atom_site_fract_y
_atom_site_fract_z
La1 La 0.000 0.000 0.000
B1 B 0.500 0.500 0.500
Pd1 Pd 0.000 0.500 0.500
```

=====

[3]
This record from the Materials Project database describes a relaxed structure of LaRe4B4. The functional is PBE.

Results
As for the magnetic moment: 0.0 μB/f.u. The uncorrected energy is -82.75 eV per formula unit. The crystal system is tetragonal.

The structure in CIF format:
```
data_LaRe4B4
_chemical_formula_sum 'La2 Re8 B8'
_cell_length_a 5.442
_cell_length_b 5.442
_cell_length_c 7.720
_cell_angle_alpha 90.00
_cell_angle_beta 90.00
_cell_angle_gamma 90.00
_symmetry_space_group_name_H-M 'P 42/n m c'
_symmetry_Int_Tables_number 137
loop_
_symmetry_equiv_pos_as_xyz
'x,y,z'
'-x,-y,-z'
'-y+1/2,x,z+1/2'
'y+1/2,-x,-z+1/2'
'-x+1/2,-y+1/2,z'
'x+1/2,y+1/2,-z'
'y,-x+1/2,z+1/2'
'-y,x+1/2,-z+1/2'
'x+1/2,-y,-z'
'-x+1/2,y,z'
'-y,-x,-z+1/2'
'y,x,z+1/2'
'-x,y+1/2,-z'
'x,-y+1/2,z'
'y+1/2,x+1/2,-z+1/2'
'-y+1/2,-x+1/2,z+1/2'
loop_
_atom_site_label
_atom_site_type_symbol
_atom_site_fract_x
_atom_site_fract_y
_atom_site_fract_z
La1 La 0.250 0.750 0.250
Re1 Re 0.002 0.750 0.613
B1 B 0.080 0.250 0.104
```

=====

[4]
This record from the Materials Project database describes a relaxed structure of LaReB. The functional is PBE.

Results
As for the magnetic moment: 0.2 μB/f.u. The uncorrected energy is -20.58 eV per formula unit. The crystal system is cubic.

The structure in CIF format:
```
data_LaReB
_chemical_formula_sum 'La4 Re4 B4'
_cell_length_a 6.096
_cell_length_b 6.096
_cell_length_c 6.096
_cell_angle_alpha 90.00
_cell_angle_beta 90.00
_cell_angle_gamma 90.00
_symmetry_space_group_name_H-M 'F -4 3 m'
_symmetry_Int_Tables_number 216
_symmetry_space_group_name_Hall 'F -4 2 3'
loop_
_atom_site_label
_atom_site_type_symbol
_atom_site_fract_x
_atom_site_fract_y
_atom_site_fract_z
La1 La 0.000 0.000 0.000
Re1 Re 0.250 0.250 0.750
B1 B 0.000 0.000 0.500
```

=====

[5]
This record from the Materials Project database describes a relaxed structure of La2Re3B7. The functional is PBE.

Results
The uncorrected energy is -99.62 eV per formula unit. The crystal system is orthorhombic.

The structure in CIF format:
```
data_La2Re3B7
_chemical_formula_sum 'La8 Re12 B28'
_cell_length_a 7.725
_cell_length_b 6.802
_cell_length_c 11.691
_cell_angle_alpha 90.00
_cell_angle_beta 90.00
_cell_angle_gamma 90.00
_symmetry_space_group_name_H-M 'P c c a'
_symmetry_Int_Tables_number 54
loop_
_symmetry_equiv_pos_as_xyz
'x,y,z'
'-x,-y,-z'
'-x+1/2,-y,z'
'x+1/2,y,-z'
'x+1/2,-y,-z+1/2'
'-x+1/2,y,z+1/2'
'-x,y,-z+1/2'
'x,-y,z+1/2'
loop_
_atom_site_label
_atom_site_type_symbol
_atom_site_fract_x
_atom_site_fract_y
_atom_site_fract_z
La1 La 0.179 0.238 0.179
Re1 Re 0.091 0.395 0.920
Re2 Re 0.250 0.000 0.432
B1 B 0.000 0.364 0.750
B2 B 0.033 0.103 0.541
B3 B 0.040 0.121 0.817
B4 B 0.129 0.301 0.462
```

=====

[6]
This record from the Materials Project database describes a relaxed structure of La2B4Rh5. The functional is PBE.

Results
The uncorrected energy is -80.95 eV per formula unit. The crystal system is orthorhombic.

The structure in CIF format:
```
data_La2B4Rh5
_chemical_formula_sum 'La8 B16 Rh20'
_cell_length_a 5.552
_cell_length_b 10.105
_cell_length_c 11.377
_cell_angle_alpha 90.00
_cell_angle_beta 90.00
_cell_angle_gamma 90.00
_symmetry_space_group_name_H-M 'F m m m'
_symmetry_Int_Tables_number 69
_symmetry_space_group_name_Hall '-F 2 2'
loop_
_atom_site_label
_atom_site_type_symbol
_atom_site_fract_x
_atom_site_fract_y
_atom_site_fract_z
La1 La 0.000 0.000 0.144
B1 B 0.000 0.162 0.370
Rh1 Rh 0.000 0.000 0.500
Rh2 Rh 0.250 0.250 0.000
Rh3 Rh 0.250 0.250 0.250
```

=====

[7]
This record from the Materials Project database describes a relaxed structure of LaB2Rh3. The functional is PBE.

Results
The uncorrected energy is -44.34 eV per formula unit. The crystal system is hexagonal.

The structure in CIF format:
```
data_LaB2Rh3
_chemical_formula_sum 'La1 B2 Rh3'
_cell_length_a 5.5411
_cell_length_b 5.5411
_cell_length_c 3.1375
_cell_angle_alpha 90.00
_cell_angle_beta 90.00
_cell_angle_gamma 120.00
_symmetry_space_group_name_H-M 'P 6/m m m'
_symmetry_Int_Tables_number 191
_symmetry_space_group_name_Hall '-P 6 2'
loop_
_atom_site_label
_atom_site_type_symbol
_atom_site_fract_x
_atom_site_fract_y
_atom_site_fract_z
La1 La 0.0000 0.0000 0.0000
B1 B 0.3333 0.6667 0.0000
Rh1 Rh 0.0000 0.5000 0.5000
```

=====

[8]
This record from the Materials Project database describes a relaxed structure of LaB4Ru4. The functional is PBE.

Results
The uncorrected energy is -73.07 eV per formula unit. The crystal system is tetragonal.

The structure in CIF format:
```
data_LaB4Ru4
_chemical_formula_sum 'La2 B8 Ru8'
_cell_length_a 7.593
_cell_length_b 7.593
_cell_length_c 4.019
_cell_angle_alpha 90.00
_cell_angle_beta 90.00
_cell_angle_gamma 90.00
_symmetry_space_group_name_H-M 'P 42/n'
_symmetry_Int_Tables_number 86
loop_
_symmetry_equiv_pos_as_xyz
'x,y,z'
'-x,-y,-z'
'-y,x+1/2,z+1/2'
'y,-x+1/2,-z+1/2'
'-x+1/2,-y+1/2,z'
'x+1/2,y+1/2,-z'
'y+1/2,-x,z+1/2'
'-y+1/2,x,-z+1/2'
loop_
_atom_site_label
_atom_site_type_symbol
_atom_site_fract_x
_atom_site_fract_y
_atom_site_fract_z
La1 La 0.250 0.250 0.250
B1 B 0.038 0.583 0.141
Ru1 Ru 0.106 0.858 0.141
```

=====

[9]
This record from the Materials Project database describes a relaxed structure of LaSm3B24. The functional is PBE.

Results
As for the magnetic moment: 0.0 μB/f.u. The uncorrected energy is -192.83 eV per formula unit. The crystal system is orthorhombic.

The structure in CIF format:
```
data_LaSm3B24
_chemical_formula_sum 'La2 Sm6 B48'
_cell_length_a 8.247
_cell_length_b 11.755
_cell_length_c 5.796
_cell_angle_alpha 90.00
_cell_angle_beta 90.00
_cell_angle_gamma 90.00
_symmetry_space_group_name_H-M 'C m m m'
_symmetry_Int_Tables_number 65
_symmetry_space_group_name_Hall '-C 2 2'
loop_
_atom_site_label
_atom_site_type_symbol
_atom_site_fract_x
_atom_site_fract_y
_atom_site_fract_z
La1 La 0.000 0.000 0.000
Sm1 Sm 0.000 0.251 0.500
Sm2 Sm 0.000 0.500 0.000
B1 B 0.100 0.000 0.500
B2 B 0.100 0.250 0.000
B3 B 0.100 0.500 0.500
B4 B 0.249 0.426 0.349
B5 B 0.250 0.175 0.151
```

=====

[10]
This record from the Materials Project database describes a relaxed structure of LaTmB12. The functional is PBE.

Results
As for the magnetic moment: 0.1 μB/f.u. The uncorrected energy is -95.88 eV per formula unit. The crystal system is cubic.

The structure in CIF format:
```
data_LaTmB12
_chemical_formula_sum 'La4 Tm4 B48'
_cell_length_a 8.239
_cell_length_b 8.239
_cell_length_c 8.239
_cell_angle_alpha 90.00
_cell_angle_beta 90.00
_cell_angle_gamma 90.00
_symmetry_space_group_name_H-M 'F m -3 m'
_symmetry_Int_Tables_number 225
_symmetry_space_group_name_Hall '-F 4 2 3'
loop_
_atom_site_label
_atom_site_type_symbol
_atom_site_fract_x
_atom_site_fract_y
_atom_site_fract_z
La1 La 0.000 0.000 0.000
Tm1 Tm 0.000 0.000 0.500
B1 B 0.100 0.250 0.250
```

=====

[11]
This record from the Materials Project database describes a relaxed structure of LiB3. The functional is PBE.

Results
As for the magnetic moment: 0.0 μB/f.u. As for the energy above the most stable polymorph in this dataset: 124 meV/atom. The uncorrected energy is -22.40 eV per formula unit. The crystal system is tetragonal.

The structure in CIF format:
```
data_LiB3
_chemical_formula_sum 'Li2 B6'
_cell_length_a 4.122
_cell_length_b 4.122
_cell_length_c 4.359
_cell_angle_alpha 90.00
_cell_angle_beta 90.00
_cell_angle_gamma 90.00
_symmetry_space_group_name_H-M 'P 4/m m m'
_symmetry_Int_Tables_number 123
_symmetry_space_group_name_Hall '-P 4 2'
loop_
_atom_site_label
_atom_site_type_symbol
_atom_site_fract_x
_atom_site_fract_y
_atom_site_fract_z
Li1 Li 0.000 0.000 0.240
B1 B 0.204 0.500 0.000
B2 B 0.500 0.500 0.298
```

=====

[12]
This record from the Materials Project database describes a relaxed structure of LiB9. The functional is PBE.

Results
As for the magnetic moment: 0.0 μB/f.u. The uncorrected energy is -61.66 eV per formula unit. The crystal system is hexagonal.

The structure in CIF format:
```
data_LiB9
_chemical_formula_sum 'Li2 B18'
_cell_length_a 5.7421
_cell_length_b 5.7421
_cell_length_c 5.0119
_cell_angle_alpha 90.00
_cell_angle_beta 90.00
_cell_angle_gamma 120.00
_symmetry_space_group_name_H-M 'P 63 c m'
_symmetry_Int_Tables_number 185
_symmetry_space_group_name_Hall 'P 6c -2'
loop_
_atom_site_label
_atom_site_type_symbol
_atom_site_fract_x
_atom_site_fract_y
_atom_site_fract_z
Li1 Li 0.0000 0.0000 0.0000
B1 B 0.0000 0.3715 0.2284
B2 B 0.1692 0.4735 0.8884
```